# 1
## LiNiPO4 (PBE+U)

Data for a relaxed structure of LiNiPO4. Values from VASP.

```
&SYSTEM
  ibrav = 0, nat = 28, ntyp = 4
/
ATOMIC_SPECIES
Li 6.94 Li.upf
Ni 58.69 Ni.upf
P 30.97 P.upf
O 16.00 O.upf
CELL_PARAMETERS angstrom
5.156 0.000 0.000
-0.032 7.778 0.000
-0.004 -1.702 8.489
ATOMIC_POSITIONS angstrom
Li 0.000 0.000 0.000
Li 0.433 3.280 1.963
Li 2.547 -1.281 6.979
Li 2.998 3.218 5.036
Ni 0.198 3.498 6.997
Ni 0.490 0.760 4.277
Ni 2.787 1.282 8.488
Ni 3.056 5.729 2.721
P 0.011 0.799 7.387
P 0.438 5.173 4.251
P 2.586 3.981 8.103
P 3.029 1.318 2.752
O 0.299 6.639 4.724
O 1.353 0.091 7.596
O 1.442 4.994 7.835
O 1.957 4.792 4.117
O 2.324 1.529 4.132
O 2.328 2.266 1.753
O 2.403 2.847 7.025
O 2.458 4.948 0.975
O 2.888 -0.151 2.290
O 3.932 4.684 7.908
O 4.023 -0.216 7.645
O 4.547 1.700 2.884
O 4.892 4.220 5.247
O 4.892 4.964 2.871
O 4.977 1.933 8.463
O 5.048 1.533 6.025
```

E = -0.457 Ry/atom
magnetic moment = 0.00 μB/f.u.

# 2
## Li2NiP3O10 (PBE+U)

Data for a relaxed structure of Li2NiP3O10. Values from VASP.

```
&SYSTEM
  ibrav = 0, nat = 32, ntyp = 4
/
ATOMIC_SPECIES
Li 6.94 Li.upf
Ni 58.69 Ni.upf
P 30.97 P.upf
O 16.00 O.upf
CELL_PARAMETERS angstrom
4.691 0.000 0.000
0.000 8.553 0.000
-1.309 0.000 9.148
ATOMIC_POSITIONS angstrom
Li -0.355 0.651 3.160
Li -0.355 3.625 3.160
Li 3.737 4.928 5.989
Li 3.737 7.901 5.989
Ni 0.000 0.000 0.000
Ni 0.000 4.276 0.000
P 0.422 2.138 7.594
P 1.344 6.415 4.204
P 1.995 2.138 1.291
P 1.387 6.415 7.857
P 2.038 2.138 4.944
P 2.960 6.415 1.554
O -0.379 0.848 7.573
O -0.379 3.429 7.573
O 0.462 5.168 4.309
O 0.462 7.661 4.309
O 0.189 6.415 6.962
O 1.129 0.865 1.339
O 1.129 3.411 1.339
O 0.820 2.138 4.049
O 2.007 6.415 0.242
O 1.873 6.415 2.662
O 1.509 2.138 6.487
O 1.375 2.138 8.906
O 2.562 6.415 5.099
O 2.253 5.142 7.809
O 2.253 7.688 7.809
O 3.193 2.138 2.186
O 2.920 0.892 4.839
O 2.920 3.384 4.839
O 3.761 5.124 1.576
O 3.761 7.705 1.576
```

E = -0.477 Ry/atom
magnetic moment = 2.62 μB/f.u.

# 3
## LiNi2P3O12 (PBE+U)

Data for a relaxed structure of LiNi2P3O12. Values from VASP.

```
&SYSTEM
  ibrav = 0, nat = 36, ntyp = 4
/
ATOMIC_SPECIES
Li 6.94 Li.upf
Ni 58.69 Ni.upf
P 30.97 P.upf
O 16.00 O.upf
CELL_PARAMETERS angstrom
4.052 -2.637 0.000
4.052 2.637 0.000
-0.187 0.000 19.298
ATOMIC_POSITIONS angstrom
Li 8.071 0.000 3.211
Li -0.153 0.000 16.087
Ni 0.000 0.000 0.000
Ni -0.093 0.000 9.649
Ni -0.111 0.000 12.858
Ni 8.029 0.000 6.440
P 2.762 0.000 11.258
P 2.834 0.000 4.864
P 2.718 0.000 17.729
P 5.199 0.000 1.569
P 5.084 0.000 14.434
P 5.156 0.000 8.040
O 3.650 1.272 11.254
O 3.717 1.258 4.903
O 3.606 1.257 17.758
O 1.923 0.000 6.131
O 1.903 0.000 9.967
O 1.818 0.000 19.005
O 1.907 0.000 12.551
O 2.044 0.000 3.535
O 1.915 0.000 16.408
O 4.267 1.272 8.044
O 4.312 1.257 1.540
O 4.201 1.258 14.395
O 3.717 -1.258 4.903
O 3.606 -1.257 17.758
O 3.650 -1.272 11.254
O 6.002 0.000 2.890
O 5.874 0.000 15.763
O 6.010 0.000 6.747
O 6.100 0.000 0.294
O 6.015 0.000 9.331
O 5.995 0.000 13.167
O 4.312 -1.257 1.540
O 4.201 -1.258 14.395
O 4.267 -1.272 8.044
```

E = -0.454 Ry/atom
magnetic moment = 7.83 μB/f.u.

# 4
## Li3Ni2P3O12 (PBE+U)

Data for a relaxed structure of Li3Ni2P3O12. Values from VASP.

```
&SYSTEM
  ibrav = 0, nat = 80, ntyp = 4
/
ATOMIC_SPECIES
Li 6.94 Li.upf
Ni 58.69 Ni.upf
P 30.97 P.upf
O 16.00 O.upf
CELL_PARAMETERS angstrom
7.131 -6.688 0.000
7.131 6.688 0.000
-0.791 0.000 9.717
ATOMIC_POSITIONS angstrom
Li 4.838 4.167 3.877
Li 3.164 2.374 2.482
Li 1.836 0.000 0.933
Li 4.585 0.913 5.214
Li 8.634 4.167 5.840
Li 4.171 -0.816 2.768
Li 8.887 0.913 4.502
Li 10.308 2.374 7.234
Li 4.890 -3.755 0.218
Li 9.301 -0.816 6.949
Li 11.636 0.000 8.784
Li 8.582 -3.755 9.499
Ni 1.055 0.559 6.933
Ni 4.986 3.458 7.589
Ni 8.486 3.458 2.128
Ni 7.131 2.001 0.000
Ni 7.131 -0.906 0.000
Ni 6.736 -1.800 4.858
Ni 12.417 0.559 2.784
Ni 6.736 -4.696 4.858
P 5.445 4.506 0.999
P 1.237 -0.504 3.823
P 3.551 0.742 8.956
P 8.027 4.506 8.718
P 6.691 0.781 2.914
P 6.781 0.781 6.803
P 3.935 -3.367 4.126
P 9.921 0.742 0.761
P 6.351 -3.535 7.746
P 7.121 -3.535 1.971
P 12.235 -0.504 5.894
P 9.537 -3.367 5.590
O 4.342 4.680 9.203
O 4.320 3.944 1.864
O 3.405 3.025 4.466
O 5.632 4.770 6.244
O 0.425 -0.774 8.277
O 3.267 1.121 0.265
O 2.381 -0.057 2.900
O 1.644 -0.614 5.317
O 2.974 0.588 7.529
O 6.645 3.494 1.221
O 7.840 4.770 3.472
O 4.552 1.967 8.913
O 6.827 3.494 8.496
O 9.130 4.680 0.514
O 5.895 1.984 6.384
O 5.214 0.861 3.322
O 9.152 3.944 7.852
O 4.287 -0.569 9.309
O 7.577 1.984 3.333
O 6.724 0.595 1.349
O 6.748 0.595 8.368
O 3.249 -3.208 2.745
O 8.921 1.967 0.804
O 6.070 -0.425 6.133
O 4.741 -2.044 4.261
O 10.068 3.025 5.250
O 8.258 0.861 6.395
O 7.403 -0.425 3.584
O 6.511 -2.278 1.308
O 4.941 -3.897 8.199
O 10.205 1.121 9.452
O 9.185 -0.569 0.408
O 10.498 0.588 2.188
O 6.961 -2.278 8.409
O 4.903 -4.609 4.086
O 6.291 -3.303 6.188
O 7.181 -3.303 3.529
O 6.085 -4.640 1.594
O 8.731 -2.044 5.456
O 11.092 -0.057 6.817
O 8.531 -3.897 1.518
O 11.828 -0.614 4.400
O 7.387 -4.640 8.123
O 6.277 -6.162 6.102
O 8.570 -4.609 5.631
O 13.047 -0.774 1.440
O 7.195 -6.162 3.615
O 10.223 -3.208 6.972
```

E = -0.456 Ry/atom
magnetic moment = 2.51 μB/f.u.